No. 1
KAsOF5: relaxed, PBE.

POSCAR file:
```
KAsOF5
1.0
29.5138 0.0000 0.0000
0.0000 11.6971 0.0000
0.0000 0.0000 9.7204
K As O F
24 24 24 120
Direct
0.0000 0.1596 0.2500
0.0000 0.3204 0.7500
0.0000 0.6796 0.2500
0.0000 0.8404 0.7500
0.1662 0.1616 0.2291
0.1662 0.8384 0.7291
0.1674 0.3234 0.7503
0.1674 0.6766 0.2503
0.3326 0.1766 0.2503
0.3326 0.8234 0.7503
0.3338 0.3384 0.7291
0.3338 0.6616 0.2291
0.5000 0.1796 0.2500
0.5000 0.3404 0.7500
0.5000 0.6596 0.2500
0.5000 0.8204 0.7500
0.6662 0.3384 0.7709
0.6662 0.6616 0.2709
0.6674 0.1766 0.2497
0.6674 0.8234 0.7497
0.8326 0.3234 0.7497
0.8326 0.6766 0.2497
0.8338 0.1616 0.2709
0.8338 0.8384 0.7709
0.0808 0.3958 0.0719
0.0808 0.6042 0.5719
0.0838 0.0961 0.6080
0.0838 0.9039 0.1080
0.2425 0.3941 0.4208
0.2425 0.6059 0.9208
0.2575 0.1059 0.9208
0.2575 0.8941 0.4208
0.4162 0.4039 0.1080
0.4162 0.5961 0.6080
0.4192 0.1042 0.5719
0.4192 0.8958 0.0719
0.5808 0.1042 0.9281
0.5808 0.8958 0.4281
0.5838 0.4039 0.3920
0.5838 0.5961 0.8920
0.7425 0.1059 0.5792
0.7425 0.8941 0.0792
0.7575 0.3941 0.0792
0.7575 0.6059 0.5792
0.9162 0.0961 0.8920
0.9162 0.9039 0.3920
0.9192 0.3958 0.4281
0.9192 0.6042 0.9281
0.0798 0.0581 0.1032
0.0798 0.9419 0.6032
0.0816 0.3247 0.2379
0.0816 0.6753 0.7379
0.2446 0.3310 0.2507
0.2446 0.6690 0.7508
0.2554 0.1690 0.7508
0.2554 0.8310 0.2507
0.4184 0.1753 0.7379
0.4184 0.8247 0.2379
0.4202 0.4419 0.6032
0.4202 0.5581 0.1032
0.5798 0.4419 0.8968
0.5798 0.5581 0.3968
0.5816 0.1753 0.7621
0.5816 0.8247 0.2621
0.7446 0.1690 0.7492
0.7446 0.8310 0.2492
0.7554 0.3310 0.2492
0.7554 0.6690 0.7492
0.9184 0.3247 0.2621
0.9184 0.6753 0.7621
0.9202 0.0581 0.3968
0.9202 0.9419 0.8968
0.0300 0.1167 0.5281
0.0300 0.8833 0.0281
0.0371 0.2963 0.0211
0.0371 0.7037 0.5211
0.0386 0.4951 0.1242
0.0386 0.5049 0.6242
0.0567 0.0826 0.7722
0.0567 0.9174 0.2722
0.0800 0.4501 0.9019
0.0800 0.5499 0.4019
0.0867 0.2475 0.6313
0.0867 0.7525 0.1313
0.1099 0.1045 0.4436
0.1099 0.8955 0.9436
0.1235 0.2954 0.0165
0.1237 0.4941 0.1207
0.1237 0.5059 0.6207
0.1235 0.7046 0.5165
0.1385 0.0886 0.6881
0.1385 0.9114 0.1881
0.1966 0.4852 0.3762
0.1966 0.5148 0.8762
0.2030 0.2832 0.4686
0.2030 0.7168 0.9686
0.2111 0.1979 0.9681
0.2111 0.8021 0.4681
0.2187 0.0046 0.3772
0.2187 0.9954 0.8772
0.2409 0.4425 0.5939
0.2409 0.5575 0.0939
0.2591 0.0575 0.0939
0.2591 0.9425 0.5939
0.2813 0.4954 0.8772
0.2813 0.5046 0.3772
0.2889 0.3021 0.4681
0.2889 0.6979 0.9681
0.2970 0.2168 0.9686
0.2970 0.7832 0.4686
0.3034 0.0148 0.8762
0.3034 0.9852 0.3762
0.3615 0.4114 0.1881
0.3615 0.5886 0.6881
0.3763 0.0059 0.6207
0.3765 0.2046 0.5165
0.3765 0.7954 0.0165
0.3763 0.9941 0.1207
0.3901 0.3955 0.9436
0.3901 0.6045 0.4436
0.4133 0.2525 0.1313
0.4133 0.7475 0.6313
0.4200 0.0499 0.4019
0.4200 0.9501 0.9019
0.4433 0.4174 0.2722
0.4433 0.5826 0.7722
0.4614 0.0049 0.6242
0.4614 0.9951 0.1242
0.4629 0.2037 0.5211
0.4629 0.7963 0.0211
0.4700 0.3833 0.0281
0.4700 0.6167 0.5281
0.5300 0.3833 0.4719
0.5300 0.6167 0.9719
0.5371 0.2037 0.9789
0.5371 0.7963 0.4789
0.5386 0.0049 0.8758
0.5386 0.9951 0.3758
0.5567 0.4174 0.2278
0.5567 0.5826 0.7278
0.5800 0.0499 0.0981
0.5800 0.9501 0.5981
0.5867 0.2525 0.3687
0.5867 0.7475 0.8687
0.6099 0.3955 0.5564
0.6099 0.6045 0.0564
0.6237 0.0059 0.8793
0.6235 0.2046 0.9835
0.6235 0.7954 0.4835
0.6237 0.9941 0.3793
0.6385 0.4114 0.3119
0.6385 0.5886 0.8119
0.6966 0.0148 0.6238
0.6966 0.9852 0.1238
0.7030 0.2168 0.5314
0.7030 0.7832 0.0314
0.7111 0.3021 0.0319
0.7111 0.6979 0.5319
0.7187 0.4954 0.6228
0.7187 0.5046 0.1228
0.7409 0.0575 0.4061
0.7409 0.9425 0.9061
0.7591 0.4425 0.9061
0.7591 0.5575 0.4061
0.7813 0.0046 0.1228
0.7813 0.9954 0.6228
0.7889 0.1979 0.5319
0.7889 0.8021 0.0319
0.7970 0.2832 0.0314
0.7970 0.7168 0.5314
0.8034 0.4852 0.1238
0.8034 0.5148 0.6238
0.8615 0.0886 0.8119
0.8615 0.9114 0.3119
0.8765 0.2954 0.4835
0.8763 0.4941 0.3793
0.8763 0.5059 0.8793
0.8765 0.7046 0.9835
0.8901 0.1045 0.0564
0.8901 0.8955 0.5564
0.9133 0.2475 0.8687
0.9133 0.7525 0.3687
0.9200 0.4501 0.5981
0.9200 0.5499 0.0981
0.9433 0.0826 0.7278
0.9433 0.9174 0.2278
0.9614 0.4951 0.3758
0.9614 0.5049 0.8758
0.9629 0.2963 0.4789
0.9629 0.7037 0.9789
0.9700 0.1167 0.9719
0.9700 0.8833 0.4719
```

Values from the calculation:
**Excess energy over the best structure of this formula in the dataset**: 7 meV/atom
**Magnetic moment**: 0.1250 μB/atom
**Energy of formation**: -2.34 eV per atom

No. 2
KAsOF5: relaxed, PBE.

POSCAR file:
```
KAsOF5
1.0
11.3973 0.0000 0.0000
0.0000 9.5123 0.0000
0.0000 0.0000 9.5201
K As O F
8 8 8 40
Direct
0.1670 0.0013 0.2340
0.1670 0.4987 0.2340
0.3330 0.5013 0.7340
0.3330 0.9987 0.7340
0.6670 0.0013 0.2660
0.6670 0.4987 0.2660
0.8330 0.5013 0.7660
0.8330 0.9987 0.7660
0.0966 0.7500 0.5641
0.1002 0.7500 0.9111
0.3998 0.2500 0.4111
0.4034 0.2500 0.0641
0.5966 0.7500 0.9359
0.6002 0.7500 0.5889
0.8998 0.2500 0.0889
0.9034 0.2500 0.4359
0.1629 0.7500 0.7362
0.1699 0.2500 0.7536
0.3301 0.7500 0.2536
0.3371 0.2500 0.2362
0.6629 0.7500 0.7638
0.6699 0.2500 0.7464
0.8301 0.7500 0.2464
0.8371 0.2500 0.2638
0.0079 0.1173 0.3975
0.0079 0.3827 0.3975
0.0489 0.7500 0.3851
0.0511 0.2500 0.1381
0.0561 0.7500 0.0917
0.0976 0.5626 0.9146
0.0976 0.9374 0.9146
0.1996 0.6163 0.5139
0.1996 0.8837 0.5139
0.2479 0.7500 0.9739
0.2521 0.2500 0.4739
0.3004 0.1163 0.0139
0.3004 0.3837 0.0139
0.4024 0.0626 0.4146
0.4024 0.4374 0.4146
0.4439 0.2500 0.5917
0.4489 0.7500 0.6381
0.4511 0.2500 0.8851
0.4921 0.6173 0.8975
0.4921 0.8827 0.8975
0.5079 0.1173 0.1025
0.5079 0.3827 0.1025
0.5489 0.7500 0.1149
0.5511 0.2500 0.3619
0.5561 0.7500 0.4083
0.5976 0.5626 0.5854
0.5976 0.9374 0.5854
0.6996 0.6163 0.9861
0.6996 0.8837 0.9861
0.7479 0.7500 0.5261
0.7521 0.2500 0.0261
0.8004 0.1163 0.4861
0.8004 0.3837 0.4861
0.9024 0.0626 0.0854
0.9024 0.4374 0.0854
0.9439 0.2500 0.9083
0.9489 0.7500 0.8619
0.9511 0.2500 0.6149
0.9921 0.6173 0.6025
0.9921 0.8827 0.6025
```

Values from the calculation:
**Excess energy over the best structure of this formula in the dataset**: 0 meV/atom
**Magnetic moment**: 0.1248 μB/atom
**Energy of formation**: -2.35 eV per atom

No. 3
KRb2AsF6: relaxed, PBE.

POSCAR file:
```
KRb2AsF6
1.0
0.0000 4.6213 4.6213
4.6213 0.0000 4.6213
4.6213 4.6213 0.0000
K Rb As F
1 2 1 6
Direct
0.0000 0.0000 0.0000
0.2500 0.2500 0.2500
0.7500 0.7500 0.7500
0.5000 0.5000 0.5000
0.2757 0.2757 0.7243
0.2757 0.7243 0.2757
0.2757 0.7243 0.7243
0.7243 0.2757 0.2757
0.7243 0.2757 0.7243
0.7243 0.7243 0.2757
```

Values from the calculation:
**Magnetic moment**: 0.0000 μB/atom
**Energy of formation**: -2.78 eV per atom

No. 4
KZnAs3F18: relaxed, PBE.

POSCAR file:
```
KZnAs3F18
1.0
10.6705 0.0000 0.0000
0.0000 14.3083 0.0000
0.0000 0.0000 9.7233
K Zn As F
4 4 12 72
Direct
0.0773 0.2500 0.0248
0.4227 0.7500 0.5248
0.5773 0.2500 0.4752
0.9227 0.7500 0.9752
0.0000 0.0000 0.5000
0.0000 0.5000 0.5000
0.5000 0.0000 0.0000
0.5000 0.5000 0.0000
0.0228 0.7500 0.3933
0.2036 0.5492 0.8056
0.2036 0.9508 0.8056
0.2964 0.0492 0.3056
0.2964 0.4508 0.3056
0.4772 0.2500 0.8933
0.5228 0.7500 0.1067
0.7036 0.5492 0.6944
0.7036 0.9508 0.6944
0.7964 0.0492 0.1944
0.7964 0.4508 0.1944
0.9772 0.2500 0.6067
0.0186 0.2500 0.4333
0.0247 0.6221 0.3934
0.0247 0.8779 0.3934
0.0664 0.7500 0.2190
0.0787 0.5547 0.6758
0.0787 0.9453 0.6758
0.1218 0.6329 0.9025
0.1218 0.8671 0.9025
0.1238 0.0399 0.8930
0.1238 0.4601 0.8930
0.1340 0.2500 0.6562
0.1723 0.0480 0.4351
0.1723 0.4520 0.4351
0.1827 0.7500 0.4387
0.2161 0.5333 0.2084
0.2161 0.9667 0.2084
0.2179 0.1400 0.2192
0.2179 0.3600 0.2192
0.2821 0.6400 0.7192
0.2821 0.8600 0.7192
0.2839 0.0333 0.7084
0.2839 0.4667 0.7084
0.3173 0.2500 0.9387
0.3277 0.5480 0.9351
0.3277 0.9520 0.9351
0.3660 0.7500 0.1562
0.3762 0.5399 0.3930
0.3762 0.9601 0.3930
0.3782 0.1329 0.4025
0.3782 0.3671 0.4025
0.4213 0.0547 0.1758
0.4213 0.4453 0.1758
0.4336 0.2500 0.7190
0.4753 0.1221 0.8934
0.4753 0.3779 0.8934
0.4814 0.7500 0.9333
0.5186 0.2500 0.0667
0.5247 0.6221 0.1066
0.5247 0.8779 0.1066
0.5664 0.7500 0.2810
0.5787 0.5547 0.8242
0.5787 0.9453 0.8242
0.6218 0.6329 0.5975
0.6218 0.8671 0.5975
0.6238 0.0399 0.6070
0.6238 0.4601 0.6070
0.6340 0.2500 0.8438
0.6723 0.0480 0.0649
0.6723 0.4520 0.0649
0.6827 0.7500 0.0613
0.7161 0.5333 0.2916
0.7161 0.9667 0.2916
0.7179 0.1400 0.2808
0.7179 0.3600 0.2808
0.7821 0.6400 0.7808
0.7821 0.8600 0.7808
0.7839 0.0333 0.7916
0.7839 0.4667 0.7916
0.8173 0.2500 0.5613
0.8277 0.5480 0.5649
0.8277 0.9520 0.5649
0.8660 0.7500 0.3438
0.8762 0.5399 0.1070
0.8762 0.9601 0.1070
0.8782 0.1329 0.0975
0.8782 0.3671 0.0975
0.9213 0.0547 0.3242
0.9213 0.4453 0.3242
0.9336 0.2500 0.7810
0.9753 0.1221 0.6066
0.9753 0.3779 0.6066
0.9814 0.7500 0.5667
```

Values from the calculation:
**Magnetic moment**: 0.0004 μB/atom
**Energy of formation**: -2.56 eV per atom

No. 5
AsKrF7: relaxed, PBE.

POSCAR file:
```
AsKrF7
1.0
5.3827 0.0000 0.0000
0.0000 10.4650 0.0000
-1.0744 0.0000 11.0422
As Kr F
4 4 28
Direct
0.0932 0.0129 0.2688
0.0932 0.4871 0.7688
0.9068 0.5129 0.2312
0.9068 0.9871 0.7312
0.4629 0.7213 0.9671
0.4629 0.7787 0.4671
0.5371 0.2213 0.5329
0.5371 0.2787 0.0329
0.0133 0.6266 0.1319
0.0133 0.8734 0.6319
0.0781 0.5721 0.3597
0.0781 0.9279 0.8597
0.1381 0.0933 0.6931
0.1381 0.4067 0.1931
0.2359 0.6112 0.6957
0.2359 0.8888 0.1957
0.2904 0.5474 0.9215
0.2904 0.9526 0.4215
0.3539 0.1106 0.2539
0.3539 0.3894 0.7539
0.3747 0.1290 0.9828
0.3747 0.3710 0.4828
0.6253 0.6290 0.5172
0.6253 0.8710 0.0172
0.6461 0.6106 0.2461
0.6461 0.8894 0.7461
0.7096 0.0474 0.5785
0.7096 0.4526 0.0785
0.7641 0.1112 0.8043
0.7641 0.3888 0.3043
0.8619 0.5933 0.8069
0.8619 0.9067 0.3069
0.9219 0.0721 0.1403
0.9219 0.4279 0.6403
0.9867 0.1266 0.3681
0.9867 0.3734 0.8681
```

Values from the calculation:
**Energy of formation**: -1.74 eV per atom